# 1
Ti3Cr2SnP6O24 | PBE with a Hubbard U | relaxed

Results
- total energy after the MP2020 corrections (eV per atom) = -8.25

Cell and atoms, written as POSCAR:
```
Ti3Cr2SnP6O24
1.0
1.0574 6.6303 -5.6822
-4.7541 7.3654 0.7179
3.7307 7.5564 2.5198
O Ti P Cr Sn
24 3 6 2 1
Direct
0.2684 0.0560 0.9137 O
0.4182 0.5634 0.7679 O
0.8038 0.6200 0.0029 O
0.4417 0.2314 0.5821 O
0.0029 0.8038 0.6200 O
0.7679 0.4182 0.5634 O
0.3024 0.5005 0.1221 O
0.9137 0.2684 0.0560 O
0.8796 0.6952 0.4999 O
0.9850 0.1994 0.3872 O
0.3872 0.9850 0.1994 O
0.5634 0.7679 0.4182 O
0.1221 0.3024 0.5005 O
0.9401 0.0838 0.7332 O
0.5821 0.4417 0.2314 O
0.6952 0.4999 0.8796 O
0.0560 0.9137 0.2684 O
0.5005 0.1221 0.3024 O
0.2314 0.5821 0.4417 O
0.1994 0.3872 0.9850 O
0.0838 0.7332 0.9401 O
0.7332 0.9401 0.0838 O
0.6200 0.0029 0.8038 O
0.4999 0.8796 0.6952 O
0.8556 0.8556 0.8556 Ti
0.3561 0.3561 0.3561 Ti
0.6448 0.6448 0.6448 Ti
0.5449 0.9568 0.2515 P
0.9568 0.2515 0.5449 P
0.7473 0.4614 0.0411 P
0.2515 0.5449 0.9568 P
0.4614 0.0411 0.7473 P
0.0411 0.7473 0.4614 P
0.5008 0.5008 0.5008 Cr
0.9976 0.9976 0.9976 Cr
0.1443 0.1443 0.1443 Sn
```

***

# 2
V3CrSn2P6O24 | PBE with a Hubbard U | relaxed

Results
- total energy after the MP2020 corrections (eV per atom) = -7.99

Cell and atoms, written as POSCAR:
```
V3CrSn2P6O24
1.0
7.8999 -4.3019 0.0000
7.8999 4.3019 0.0000
5.5573 0.0000 7.0733
O Cr V Sn P
24 1 3 2 6
Direct
0.7834 0.6291 0.0089 O
0.7202 0.9377 0.0764 O
0.5751 0.4384 0.2206 O
0.3704 0.9865 0.2218 O
0.4248 0.5646 0.7793 O
0.9377 0.0764 0.7202 O
0.7128 0.4942 0.8717 O
0.1295 0.2834 0.5083 O
0.7793 0.4248 0.5646 O
0.8717 0.7128 0.4942 O
0.9235 0.2797 0.0587 O
0.9865 0.2218 0.3704 O
0.2834 0.5083 0.1295 O
0.0587 0.9235 0.2797 O
0.0089 0.7834 0.6291 O
0.5083 0.1295 0.2834 O
0.4384 0.2206 0.5751 O
0.0764 0.7202 0.9377 O
0.2797 0.0587 0.9235 O
0.2218 0.3704 0.9865 O
0.5646 0.7793 0.4248 O
0.6291 0.0089 0.7834 O
0.4942 0.8717 0.7128 O
0.2206 0.5751 0.4384 O
0.1470 0.1470 0.1470 Cr
0.3519 0.3519 0.3519 V
0.8530 0.8530 0.8530 V
0.6479 0.6479 0.6479 V
0.5009 0.5009 0.5009 Sn
0.0020 0.0020 0.0020 Sn
0.7499 0.4638 0.0366 P
0.2498 0.5343 0.9639 P
0.4638 0.0366 0.7499 P
0.0366 0.7499 0.4638 P
0.5343 0.9639 0.2498 P
0.9639 0.2498 0.5343 P
```

***

# 3
V3Cr2SnP6O24 | PBE with a Hubbard U | relaxed

Results
- total energy after the MP2020 corrections (eV per atom) = -8.13

Cell and atoms, written as POSCAR:
```
V3Cr2SnP6O24
1.0
7.4994 -4.3374 0.0000
7.4994 4.3374 0.0000
4.9908 0.0000 7.0814
O V P Sn Cr
24 3 6 1 2
Direct
0.2414 0.4359 0.5866 O
0.9112 0.0624 0.2572 O
0.6916 0.8853 0.4946 O
0.4946 0.6916 0.8853 O
0.5866 0.2414 0.4359 O
0.3867 0.1889 0.9939 O
0.4126 0.7596 0.5589 O
0.0178 0.6066 0.8096 O
0.5589 0.4126 0.7596 O
0.8096 0.0178 0.6066 O
0.6066 0.8096 0.0178 O
0.8853 0.4946 0.6916 O
0.1889 0.9939 0.3867 O
0.0901 0.9438 0.7396 O
0.4359 0.5866 0.2414 O
0.1130 0.5028 0.3146 O
0.9939 0.3867 0.1889 O
0.5028 0.3146 0.1130 O
0.0624 0.2572 0.9112 O
0.7596 0.5589 0.4126 O
0.9438 0.7396 0.0901 O
0.7396 0.0901 0.9438 O
0.2572 0.9112 0.0624 O
0.3146 0.1130 0.5028 O
0.6425 0.6425 0.6425 V
0.1436 0.1436 0.1436 V
0.3562 0.3562 0.3562 V
0.5391 0.2539 0.9574 P
0.0457 0.4516 0.7481 P
0.9574 0.5391 0.2539 P
0.4516 0.7481 0.0457 P
0.2539 0.9574 0.5391 P
0.7481 0.0457 0.4516 P
0.8554 0.8554 0.8554 Sn
0.4993 0.4993 0.4993 Cr
0.0025 0.0025 0.0025 Cr
```

***

# 4
SrCrP2O8 | PBE with a Hubbard U | relaxed

Results
- total energy after the MP2020 corrections (eV per atom) = -7.83

Cell and atoms, written as POSCAR:
```
SrCrP2O8
1.0
-5.5606 0.0914 0.9899
0.0513 -3.8936 -5.9677
3.0586 -4.9601 7.0058
P Cr O Sr
4 2 16 2
Direct
0.1465 0.9716 0.6929 P
0.5965 0.5653 0.7621 P
0.4035 0.4347 0.2379 P
0.8535 0.0284 0.3071 P
0.6679 0.8427 0.5574 Cr
0.3321 0.1573 0.4426 Cr
0.8224 0.5567 0.8818 O
0.3550 0.2223 0.2607 O
0.9377 0.0959 0.7012 O
0.0623 0.9041 0.2988 O
0.0243 0.2419 0.4365 O
0.2736 0.9879 0.8620 O
0.7264 0.0121 0.1380 O
0.1776 0.4433 0.1182 O
0.6390 0.4619 0.1858 O
0.3610 0.5381 0.8142 O
0.6450 0.7777 0.7393 O
0.6402 0.9565 0.3801 O
0.4282 0.6072 0.4097 O
0.9757 0.7581 0.5635 O
0.3598 0.0435 0.6199 O
0.5718 0.3928 0.5903 O
0.2483 0.7704 0.0370 Sr
0.7517 0.2296 0.9630 Sr
```

***

# 5
SrCrP2O7 | PBE with a Hubbard U | relaxed

Results
- total energy after the MP2020 corrections (eV per atom) = -8.06

Cell and atoms, written as POSCAR:
```
SrCrP2O7
1.0
-1.8994 0.2787 8.2171
-0.2865 -5.4859 0.1199
12.1317 -5.9758 3.0070
O P Sr Cr
28 8 4 4
Direct
0.0824 0.6162 0.9708 O
0.1325 0.3153 0.4509 O
0.1899 0.1933 0.2953 O
0.8825 0.5243 0.1515 O
0.3756 0.3353 0.7352 O
0.8675 0.3153 0.9509 O
0.6330 0.6816 0.0482 O
0.8482 0.2531 0.4062 O
0.8697 0.6724 0.7647 O
0.6157 0.4751 0.8507 O
0.1518 0.2531 0.9062 O
0.3489 0.7407 0.0958 O
0.1303 0.6724 0.2647 O
0.3112 0.8165 0.7008 O
0.9176 0.6162 0.4708 O
0.9378 0.1254 0.5962 O
0.4366 0.8743 0.9046 O
0.5847 0.3819 0.5297 O
0.4153 0.3819 0.0297 O
0.6511 0.7407 0.5958 O
0.6244 0.3353 0.2352 O
0.0622 0.1254 0.0962 O
0.5634 0.8743 0.4046 O
0.6888 0.8165 0.2008 O
0.3843 0.4751 0.3507 O
0.3670 0.6816 0.5482 O
0.8101 0.1933 0.7953 O
0.1175 0.5243 0.6515 O
0.2901 0.5917 0.6634 P
0.5516 0.6699 0.5164 P
0.4484 0.6699 0.0164 P
0.9489 0.3276 0.4841 P
0.7879 0.4112 0.8362 P
0.7099 0.5917 0.1634 P
0.0511 0.3276 0.9841 P
0.2121 0.4112 0.3362 P
0.9136 0.0089 0.2764 Sr
0.4101 0.9884 0.2220 Sr
0.5899 0.9884 0.7220 Sr
0.0864 0.0089 0.7764 Sr
0.6045 0.3182 0.3908 Cr
0.3955 0.3182 0.8908 Cr
0.1037 0.6786 0.1100 Cr
0.8963 0.6786 0.6100 Cr
```

***

# 6
SrCrP2O7 | PBE with a Hubbard U | relaxed

Results
- total energy after the MP2020 corrections (eV per atom) = -8.06

Cell and atoms, written as POSCAR:
```
SrCrP2O7
1.0
-4.0729 -7.2368 -1.8042
4.6998 -2.7670 0.4893
2.2775 -4.5281 13.0210
Cr O P Sr
4 28 8 4
Direct
0.3616 0.8096 0.3957 Cr
0.6384 0.1904 0.6043 Cr
0.1384 0.8096 0.8957 Cr
0.8616 0.1904 0.1043 Cr
0.8267 0.1185 0.9680 O
0.1008 0.8175 0.7427 O
0.6733 0.1185 0.4680 O
0.6072 0.7476 0.4082 O
0.2098 0.3716 0.9080 O
0.3560 0.9652 0.8443 O
0.6008 0.1825 0.7573 O
0.8920 0.8309 0.4423 O
0.6440 0.0348 0.1557 O
0.3992 0.8175 0.2427 O
0.7902 0.6284 0.0920 O
0.9424 0.6957 0.2894 O
0.3928 0.2524 0.5918 O
0.6080 0.8309 0.9423 O
0.7098 0.6284 0.5920 O
0.3267 0.8815 0.5320 O
0.1733 0.8815 0.0320 O
0.4424 0.3043 0.2106 O
0.8560 0.0348 0.6557 O
0.5576 0.6957 0.7894 O
0.3920 0.1691 0.0577 O
0.2902 0.3716 0.4080 O
0.8992 0.1825 0.2573 O
0.1080 0.1691 0.5577 O
0.8928 0.7476 0.9082 O
0.1440 0.9652 0.3443 O
0.0576 0.3043 0.7106 O
0.1072 0.2524 0.0918 O
0.2880 0.1686 0.5191 P
0.7880 0.8314 0.9809 P
0.5288 0.9175 0.8279 P
0.4712 0.0825 0.1721 P
0.0288 0.0825 0.6721 P
0.9712 0.9175 0.3279 P
0.2120 0.1686 0.0191 P
0.7120 0.8314 0.4809 P
0.3290 0.4861 0.7254 Sr
0.1710 0.4861 0.2254 Sr
0.6710 0.5139 0.2746 Sr
0.8290 0.5139 0.7746 Sr
```

***

| no. | size of the total moment (μB per atom) | theoretical density (g/cm³) | energy of formation from the pure elements (eV per atom) |
| --- | --- | --- | --- |
| 1 | 0.28 | 3.30 | -2.75 |
| 2 | 0.19 | 3.50 | -2.54 |
| 3 | 0.36 | 3.41 | -2.52 |
| 4 | 0.17 | 3.36 | -2.69 |
| 5 | 0.36 | 3.52 | -2.90 |
| 6 | 0.36 | 3.47 | -2.89 |